Here is an optimized crystal structure of Cr2NiO4 from the Materials Project. Energies are from PBE with a Hubbard U.

a b c (Å): 5.8484 6.0128 5.8748
angles (deg): 60.74 90.00 118.89
With the nearest neighbours (Å) after each atom.
Fractional positions:
Cr (0.0000, 0.5000, 0.0000)  6 O 2.02
Cr (0.0000, 0.5000, 0.5000)  6 O 2.02
Cr (0.5000, 0.0000, 0.0000)  6 O 2.02
Cr (0.0000, 0.0000, 0.0000)  6 O 2.03
O (0.7450, 0.4620, 0.7689)  1 Ni 1.99, 3 Cr 2.02
O (0.7680, 0.0371, 0.2186)  1 Ni 1.99, 3 Cr 2.02-2.03
O (0.2320, 0.9629, 0.7814)  1 Ni 1.99, 3 Cr 2.02-2.03
O (0.2183, 0.4636, 0.7681)  1 Ni 1.99, 3 Cr 2.02-2.03
O (0.2550, 0.5380, 0.2310)  1 Ni 1.99, 3 Cr 2.02
O (0.2320, 0.9628, 0.2557)  1 Ni 1.99, 3 Cr 2.02-2.03
O (0.7680, 0.0372, 0.7443)  1 Ni 1.99, 3 Cr 2.02-2.03
O (0.7817, 0.5363, 0.2319)  1 Ni 1.99, 3 Cr 2.02-2.03
Ni (0.3748, 0.2498, 0.3751)  4 O 1.99
Ni (0.6252, 0.7502, 0.6249)  4 O 1.99

Values from the calculation:
The calculation puts the total magnetization at 1.0 μB per formula unit. As for the formation energy: -2.03 eV per atom. The value obtained for the polymorph energy (0 for the lowest one) is 0.67 kJ per mole of atoms.

Here is an optimized crystal structure of LiMnVP3O12 from the Materials Project. Energies are from PBE with a Hubbard U.

a b c (Å): 8.2544 8.2860 8.8321
angles (deg): 89.80 116.48 119.17
With the nearest neighbours (Å) after each atom.
Fractional positions:
O (0.6158, 0.7842, 0.1058)  1 P 1.57
O (0.3174, 0.8339, 0.1112)  1 P 1.57
O (0.9899, 0.8655, 0.2537)  1 P 1.52
O (0.0052, 0.1268, 0.7442)  1 P 1.49
O (0.6811, 0.1588, 0.9045)  1 P 1.59
O (0.6168, 0.8782, 0.7294)  1 P 1.52
O (0.7498, 0.5222, 0.9100)  1 P 1.58
O (0.2962, 0.4736, 0.8141)  1 P 1.59
O (0.3833, 0.1192, 0.2753)  1 P 1.53
O (0.3948, 0.2284, 0.8927)  1 P 1.60
O (0.6436, 0.0109, 0.4257)  1 P 1.51
O (0.2667, 0.4893, 0.0983)  1 P 1.58
O (0.2022, 0.2277, 0.5740)  1 P 1.52
O (0.8611, 0.7512, 0.7437)  1 P 1.52
O (0.3555, 0.8267, 0.8202)  1 P 1.58
O (0.0071, 0.5438, 0.8214)  1 P 1.59
O (0.6499, 0.1648, 0.1841)  1 P 1.59
O (0.7943, 0.7687, 0.4244)  1 P 1.51
O (0.3628, 0.9945, 0.5830)  1 P 1.51
O (0.6172, 0.3888, 0.5874)  1 P 1.49
O (0.6961, 0.5214, 0.1823)  1 P 1.59
O (0.9998, 0.4717, 0.1800)  1 P 1.58
O (0.3865, 0.6087, 0.4165)  1 P 1.50
O (0.1304, 0.2497, 0.2535)  1 P 1.54
P (0.2048, 0.4590, 0.2463)  4 O 1.50-1.58
P (0.5018, 0.9667, 0.7492)  4 O 1.51-1.59
P (0.4996, 0.0306, 0.2557)  4 O 1.51-1.59
P (0.7769, 0.7392, 0.2479)  4 O 1.51-1.59
P (0.2120, 0.2550, 0.7488)  4 O 1.49-1.60
P (0.7948, 0.5467, 0.7524)  4 O 1.49-1.59
Mn (0.7139, 0.8507, 0.5713)  6 O 1.95-2.18
Mn (0.2966, 0.1582, 0.4364)  5 O 1.92-2.09
Li (0.0558, 0.7382, 0.1302)  4 O 1.92-2.15
Li (0.8192, 0.0613, 0.1178)  3 O 1.96-2.12
V (0.6833, 0.3427, 0.0458)  6 O 1.83-1.97
V (0.2965, 0.6451, 0.9458)  6 O 1.82-2.03

Values from the calculation:
The calculation puts the total magnetization at 4.0 μB per formula unit. As for the formation energy: -2.50 eV per atom. The value obtained for the polymorph energy (0 for the lowest one) is 0.48 kJ per mole of atoms.

Here is an optimized crystal structure of Sr3TaCoO7 from the Materials Project. Energies are from PBE with a Hubbard U.

a b c (Å): 5.5944 11.1575 11.1923
angles (deg): 90.00 90.00 75.55
With the nearest neighbours (Å) after each atom.
Fractional positions:
O (0.1997, 0.6019, 0.0006)  1 Co 1.99
O (0.1456, 0.2086, 0.6249)  2 Ta 1.98
O (0.6457, 0.2086, 0.1251)  2 Ta 1.98
O (0.3596, 0.8054, 0.1324)  2 Co 1.88-2.07
O (0.1469, 0.2057, 0.8749)  2 Ta 1.98
O (0.3301, 0.8076, 0.3826)  1 Co 1.87
O (0.6471, 0.2055, 0.3751)  2 Ta 1.98
O (0.9894, 0.0195, 0.5022)  1 Ta 1.91
O (0.3598, 0.8054, 0.6323)  2 Co 1.88-2.07
O (0.4895, 0.0195, 0.2477)  1 Ta 1.91
O (0.6996, 0.6020, 0.2494)  1 Co 1.99
O (0.6458, 0.2086, 0.6251)  2 Ta 1.98
O (0.1996, 0.6021, 0.5006)  1 Co 1.99
O (0.3050, 0.3902, 0.7517)  1 Ta 2.09
O (0.8303, 0.8075, 0.8676)  1 Co 1.88
O (0.8302, 0.8075, 0.3675)  1 Co 1.87
O (0.8596, 0.8054, 0.6176)  2 Co 1.88-2.07
O (0.3303, 0.8074, 0.8823)  1 Co 1.88
O (0.3051, 0.3901, 0.2515)  1 Ta 2.09
O (0.6469, 0.2057, 0.8751)  2 Ta 1.98
O (0.4894, 0.0196, 0.7480)  1 Ta 1.91
O (0.8051, 0.3901, 0.4984)  1 Ta 2.09
O (0.1458, 0.2086, 0.1249)  2 Ta 1.98
O (0.9894, 0.0196, 0.0020)  1 Ta 1.92
O (0.6997, 0.6020, 0.7494)  1 Co 1.99
O (0.8051, 0.3902, 0.9983)  1 Ta 2.09
O (0.8598, 0.8054, 0.1178)  2 Co 1.88-2.07
O (0.1471, 0.2055, 0.3749)  2 Ta 1.98
Sr (0.0191, 0.9614, 0.2511)  8 O 2.58-2.88
Sr (0.5192, 0.9614, 0.4989)  8 O 2.58-2.88
Sr (0.8086, 0.3839, 0.7502)  1 O 2.36
Sr (0.1844, 0.6329, 0.2511)  9 O 2.62-2.82
Sr (0.6845, 0.6328, 0.9987)  9 O 2.62-2.83
Sr (0.5192, 0.9614, 0.9988)  8 O 2.58-2.88
Sr (0.6844, 0.6329, 0.4988)  9 O 2.62-2.82
Sr (0.1846, 0.6328, 0.7513)  9 O 2.62-2.83
Sr (0.3085, 0.3839, 0.4998)  1 O 2.36
Sr (0.3085, 0.3839, 0.9998)  1 O 2.36
Sr (0.0193, 0.9614, 0.7512)  8 O 2.58-2.88
Sr (0.8085, 0.3839, 0.2502)  1 O 2.36
Co (0.1094, 0.7863, 0.0019)  4 O 1.88-2.07
Co (0.6094, 0.7863, 0.7480)  4 O 1.88-2.07
Co (0.6094, 0.7864, 0.2481)  4 O 1.87-2.07
Co (0.1094, 0.7863, 0.5019)  4 O 1.87-2.07
Ta (0.4016, 0.1968, 0.7498)  6 O 1.91-2.09
Ta (0.9016, 0.1969, 0.0002)  6 O 1.92-2.09
Ta (0.4016, 0.1967, 0.2499)  6 O 1.91-2.09
Ta (0.9017, 0.1967, 0.5001)  6 O 1.91-2.09

Values from the calculation:
The calculation puts the total magnetization at 0.0 μB per formula unit. As for the formation energy: -2.93 eV per atom. The value obtained for the polymorph energy (0 for the lowest one) is 0.35 kJ per mole of atoms.

Here is an optimized crystal structure of Na8HfMo6O24 from the Materials Project. Energies are from PBE with a Hubbard U.

a b c (Å): 11.7056 9.9120 12.0216
angles (deg): 61.49 90.00 90.00
With the nearest neighbours (Å) after each atom.
Fractional positions:
O (0.5010, 0.3249, 0.0640)  1 Mo 1.77
O (0.8223, 0.6122, 0.2156)  1 Mo 1.78
O (0.7970, 0.6035, 0.9778)  1 Mo 1.78
O (0.3490, 0.7927, 0.0899)  1 Mo 1.78
O (0.7030, 0.6035, 0.4778)  1 Mo 1.78
O (0.6180, 0.4174, 0.2270)  1 Mo 1.78
O (0.9090, 0.9111, 0.6369)  1 Mo 1.79
O (0.4787, 0.5658, 0.3496)  1 Mo 1.78
O (0.0213, 0.5658, 0.8496)  1 Mo 1.78
O (0.5602, 0.0925, 0.3183)  1 Mo 1.86, 1 Hf 2.05
O (0.5213, 0.4342, 0.6504)  1 Mo 1.78
O (0.8490, 0.2073, 0.4101)  1 Mo 1.78
O (0.4398, 0.9075, 0.6817)  1 Mo 1.86, 1 Hf 2.05
O (0.0010, 0.6751, 0.4360)  1 Mo 1.77
O (0.2970, 0.3965, 0.5222)  1 Mo 1.78
O (0.1714, 0.0742, 0.5934)  1 Mo 1.77
O (0.8286, 0.9258, 0.4066)  1 Mo 1.77
O (0.0602, 0.9075, 0.1817)  1 Mo 1.86, 1 Hf 2.05
O (0.4090, 0.0889, 0.8631)  1 Mo 1.79
O (0.5113, 0.7825, 0.5086)  1 Mo 1.88
O (0.1180, 0.5826, 0.2730)  1 Mo 1.78
O (0.6714, 0.9258, 0.9066)  1 Mo 1.77
O (0.3286, 0.0742, 0.0934)  1 Mo 1.77
O (0.2030, 0.3965, 0.0222)  1 Mo 1.78
O (0.1510, 0.7927, 0.5899)  1 Mo 1.78
O (0.3820, 0.5826, 0.7730)  1 Mo 1.78
O (0.9398, 0.0925, 0.8183)  1 Mo 1.86, 1 Hf 2.05
O (0.8820, 0.4174, 0.7270)  1 Mo 1.78
O (0.6777, 0.6122, 0.7156)  1 Mo 1.78
O (0.7561, 0.2471, 0.6228)  1 Mo 1.79
O (0.2439, 0.7529, 0.3772)  1 Mo 1.79
O (0.2561, 0.7529, 0.8772)  1 Mo 1.79
O (0.3351, 0.0200, 0.4287)  1 Mo 1.87, 1 Hf 2.08
O (0.0910, 0.0889, 0.3631)  1 Mo 1.79
O (0.5910, 0.9111, 0.1369)  1 Mo 1.79
O (0.6510, 0.2073, 0.9101)  1 Mo 1.78
O (0.9787, 0.4342, 0.1504)  1 Mo 1.78
O (0.1649, 0.0200, 0.9287)  1 Mo 1.87, 1 Hf 2.08
O (0.1777, 0.3878, 0.7844)  1 Mo 1.78
O (0.8351, 0.9800, 0.0713)  1 Mo 1.87, 1 Hf 2.08
O (0.6649, 0.9800, 0.5713)  1 Mo 1.87, 1 Hf 2.08
O (0.4990, 0.6751, 0.9360)  1 Mo 1.77
O (0.9887, 0.7825, 0.0086)  1 Mo 1.88
O (0.7439, 0.2471, 0.1228)  1 Mo 1.79
O (0.9990, 0.3249, 0.5640)  1 Mo 1.77
O (0.3223, 0.3878, 0.2844)  1 Mo 1.78
O (0.0113, 0.2175, 0.9914)  1 Mo 1.88
O (0.4887, 0.2175, 0.4914)  1 Mo 1.88
Na (0.4327, 0.8340, 0.2893)  4 O 2.42-2.60
Na (0.6844, 0.7749, 0.8105)  4 O 2.29-2.56
Na (0.7819, 0.4141, 0.8991)  5 O 2.36-2.51
Na (0.9628, 0.6679, 0.6275)  5 O 2.31-2.55
Na (0.9327, 0.1660, 0.2107)  4 O 2.42-2.60
Na (0.2181, 0.5859, 0.1009)  5 O 2.36-2.51
Na (0.5372, 0.6679, 0.1275)  5 O 2.31-2.55
Na (0.8156, 0.7749, 0.3105)  4 O 2.29-2.56
Na (0.7181, 0.4141, 0.3991)  5 O 2.36-2.51
Na (0.1844, 0.2251, 0.6895)  4 O 2.29-2.56
Na (0.2819, 0.5859, 0.6009)  5 O 2.36-2.51
Na (0.0372, 0.3321, 0.3725)  5 O 2.31-2.55
Na (0.0673, 0.8340, 0.7893)  4 O 2.42-2.60
Na (0.4628, 0.3321, 0.8725)  5 O 2.31-2.55
Na (0.3156, 0.2251, 0.1895)  4 O 2.29-2.56
Na (0.5673, 0.1660, 0.7107)  4 O 2.42-2.60
Mo (0.3139, 0.9900, 0.9934)  4 O 1.77-1.87
Mo (0.8139, 0.0100, 0.5066)  4 O 1.77-1.87
Mo (0.6093, 0.2729, 0.1798)  4 O 1.77-1.86
Mo (0.1035, 0.3939, 0.9116)  4 O 1.78-1.88
Mo (0.6035, 0.6061, 0.5884)  4 O 1.78-1.88
Mo (0.1861, 0.9900, 0.4934)  4 O 1.77-1.87
Mo (0.8965, 0.6061, 0.0884)  4 O 1.78-1.88
Mo (0.3965, 0.3939, 0.4116)  4 O 1.78-1.88
Mo (0.3907, 0.7271, 0.8202)  4 O 1.77-1.86
Mo (0.6861, 0.0100, 0.0066)  4 O 1.77-1.87
Mo (0.8907, 0.2729, 0.6798)  4 O 1.77-1.86
Mo (0.1093, 0.7271, 0.3202)  4 O 1.77-1.86
Hf (0.5000, 0.0000, 0.5000)  6 O 2.05-2.11
Hf (0.0000, 0.0000, 0.0000)  6 O 2.05-2.11

Values from the calculation:
The calculation puts the total magnetization at 0.0 μB per formula unit. As for the formation energy: -2.26 eV per atom.

Here is an optimized crystal structure of MgV2Cd2O7 from the Materials Project. Energies are from PBE with a Hubbard U.

a b c (Å): 5.5545 5.7993 5.8460
angles (deg): 113.57 89.22 99.29
With the nearest neighbours (Å) after each atom.
Fractional positions:
V (0.8815, 0.2659, 0.2484)  4 O 1.78-1.96
V (0.1044, 0.7221, 0.7261)  4 O 1.82-1.91
O (0.2041, 0.3861, 0.4249)  2 V 1.96-2.19, 1 Mg 2.15
O (0.0202, 0.0010, 0.0081)  2 V 1.89-1.91, 1 Mg 2.03
O (0.7432, 0.3976, 0.0672)  1 V 1.78
O (0.7992, 0.5662, 0.5878)  1 V 1.82
O (0.2627, 0.9207, 0.5618)  1 V 1.89, 1 Mg 2.09
O (0.3090, 0.6707, 0.9426)  1 V 1.85, 1 Mg 2.06
O (0.6488, 0.0712, 0.3535)  1 V 1.84, 1 Mg 2.05
Mg (0.2849, 0.0060, 0.2460)  5 O 2.03-2.15
Cd (0.5472, 0.6790, 0.3616)  5 O 2.26-2.47
Cd (0.4950, 0.3341, 0.7428)  5 O 2.23-2.41

Values from the calculation:
The calculation puts the total magnetization at 2.0 μB per formula unit. As for the formation energy: -2.12 eV per atom. The value obtained for the polymorph energy (0 for the lowest one) is 0.45 kJ per mole of atoms.

Here is an optimized crystal structure of Ni2Te3O8 from the Materials Project. Energies are from PBE with a Hubbard U.

a b c (Å): 6.7853 6.7853 11.5378
angles (deg): 82.07 82.07 45.59
With the nearest neighbours (Å) after each atom.
Fractional positions:
Ni (0.9400, 0.5870, 0.8548)  6 O 2.00-2.22
Ni (0.5870, 0.9400, 0.3548)  6 O 2.00-2.22
Ni (0.0600, 0.4130, 0.1452)  6 O 2.00-2.22
Ni (0.4130, 0.0600, 0.6452)  6 O 2.00-2.22
O (0.4543, 0.1486, 0.1987)  1 Te 1.93, 2 Ni 2.00-2.05
O (0.0393, 0.7356, 0.1304)  2 Te 2.00-2.12, 1 Ni 2.08
O (0.7407, 0.7243, 0.5266)  1 Te 1.97, 1 Ni 2.19
O (0.7243, 0.7407, 0.0266)  1 Te 1.97, 1 Ni 2.19
O (0.2757, 0.2593, 0.9734)  1 Te 1.97, 1 Ni 2.19
O (0.1291, 0.0386, 0.6436)  1 Te 1.92, 1 Ni 2.03
O (0.2644, 0.9607, 0.3696)  2 Te 2.00-2.12, 1 Ni 2.08
O (0.7356, 0.0393, 0.6304)  2 Te 2.00-2.12, 1 Ni 2.08
O (0.1486, 0.4543, 0.6987)  1 Te 1.93, 2 Ni 2.00-2.05
O (0.9614, 0.8709, 0.8564)  1 Te 1.92, 1 Ni 2.03
O (0.9607, 0.2644, 0.8696)  2 Te 2.00-2.12, 1 Ni 2.08
O (0.5457, 0.8514, 0.8013)  1 Te 1.93, 2 Ni 2.00-2.05
O (0.8514, 0.5457, 0.3013)  1 Te 1.93, 2 Ni 2.00-2.05
O (0.8709, 0.9614, 0.3564)  1 Te 1.92, 1 Ni 2.03
O (0.2593, 0.2757, 0.4734)  1 Te 1.97, 1 Ni 2.19
O (0.0386, 0.1291, 0.1436)  1 Te 1.92, 1 Ni 2.03
Te (0.6819, 0.0492, 0.0555)  3 O 1.93-2.00
Te (0.9508, 0.3181, 0.4445)  3 O 1.93-2.00
Te (0.0492, 0.6819, 0.5555)  3 O 1.93-2.00
Te (0.8162, 0.1838, 0.7500)  4 O 1.92-2.12
Te (0.3181, 0.9508, 0.9445)  3 O 1.93-2.00
Te (0.1838, 0.8162, 0.2500)  4 O 1.92-2.12

Values from the calculation:
As for the formation energy: -1.45 eV per atom.

Here is an optimized crystal structure of BaSr3Co2Cu4S4O4 from the Materials Project. Energies are from PBE with a Hubbard U.

a b c (Å): 3.9417 3.9417 18.9550
angles (deg): 90.00 90.00 90.00
With the nearest neighbours (Å) after each atom.
Fractional positions:
Cu (0.0000, 0.5000, 0.2540)  4 S 2.40-2.42
Cu (0.0000, 0.5000, 0.7501)  4 S 2.42-2.44
Cu (0.5000, 0.0000, 0.2540)  4 S 2.40-2.42
Cu (0.5000, 0.0000, 0.7501)  4 S 2.42-2.44
Ba (0.5000, 0.5000, 0.0967)  4 O 2.78
O (0.0000, 0.5000, 0.5004)  2 Co 1.97
O (0.5000, 0.0000, 0.9931)  2 Co 1.97
O (0.0000, 0.5000, 0.9931)  2 Co 1.97
O (0.5000, 0.0000, 0.5004)  2 Co 1.97
Co (0.5000, 0.5000, 0.5004)  4 O 1.97
Co (0.0000, 0.0000, 0.9935)  4 O 1.97
Sr (0.0000, 0.0000, 0.4079)  4 O 2.64
Sr (0.5000, 0.5000, 0.9036)  4 O 2.60
Sr (0.0000, 0.0000, 0.5938)  4 O 2.65
S (0.5000, 0.5000, 0.3283)  4 Cu 2.42
S (0.0000, 0.0000, 0.8240)  4 Cu 2.42
S (0.0000, 0.0000, 0.1818)  4 Cu 2.40
S (0.5000, 0.5000, 0.6745)  4 Cu 2.44

Values from the calculation:
The calculation puts the total magnetization at 5.9 μB per formula unit. As for the formation energy: -1.57 eV per atom.

Here is an optimized crystal structure of MgFe2O5 from the Materials Project. Energies are from PBE with a Hubbard U.

a b c (Å): 3.3213 5.0417 11.6004
angles (deg): 90.02 90.00 90.00
With the nearest neighbours (Å) after each atom.
Fractional positions:
O (0.7500, 0.9258, 0.6572)  1 Fe 1.85
O (0.2500, 0.3863, 0.5697)  3 Fe 1.97-1.99
O (0.2500, 0.5823, 0.2500)  2 Fe 1.91
O (0.2500, 0.3866, 0.9302)  3 Fe 1.97-1.99
O (0.7500, 0.6135, 0.4303)  3 Fe 1.97-1.99
O (0.2500, 0.0741, 0.1571)  1 Fe 1.85
O (0.7500, 0.6137, 0.0698)  3 Fe 1.97-2.00
O (0.7500, 0.9261, 0.8428)  1 Fe 1.85
O (0.7500, 0.4177, 0.7500)  2 Fe 1.91
O (0.2500, 0.0741, 0.3427)  1 Fe 1.85
Fe (0.2500, 0.4172, 0.3983)  5 O 1.85-1.99
Fe (0.7500, 0.5830, 0.8984)  5 O 1.85-2.00
Fe (0.2500, 0.4172, 0.1017)  5 O 1.85-1.99
Fe (0.7500, 0.5826, 0.6017)  5 O 1.85-1.99
Mg (0.7500, 0.8672, 0.2498)  8 O 2.20-2.45
Mg (0.2500, 0.1327, 0.7501)  8 O 2.20-2.45

Values from the calculation:
The calculation puts the total magnetization at 8.0 μB per formula unit. As for the formation energy: -1.63 eV per atom. The value obtained for the polymorph energy (0 for the lowest one) is 10.49 kJ per mole of atoms.

Among the records above, which one has the highest formation energy? Ni2Te3O8